Below is an optimized crystal structure of La2InGe2, with properties calculated at the r2SCAN level.

Output
* theoretical density: 6.7 g/cm3
* E_form: -4.35 eV/f.u.

abc: 7.737 7.737 4.429
angles: 90.00 90.00 90.00
Space group P4/mbm (No. 127)
Inequivalent atoms, fractional coordinates:
La: 0.181 0.319 0.000 x4
In: 0.000 0.000 0.500 x2
Ge: 0.115 0.615 0.500 x4